(1)
! Mg2Sb3 GGA-PBE optimized geometry; values from VASP
&SYSTEM
  ibrav = 0, nat = 5, ntyp = 2
/
ATOMIC_SPECIES
Mg 24.30 Mg.upf
Sb 121.76 Sb.upf
ATOMIC_POSITIONS angstrom
Mg 2.348 1.355 1.235
Mg 2.348 -1.355 6.256
Sb 2.348 1.355 4.346
Sb 2.348 -1.355 3.144
Sb 0.000 0.000 0.000
CELL_PARAMETERS angstrom
2.348 -4.066 0.000
2.348 4.066 0.000
0.000 0.000 7.490
! MP2020-corrected energy ... -3.339 eV/atom

(2)
! ZnCr2Se2S2 GGA-PBE optimized geometry; values from VASP
&SYSTEM
  ibrav = 0, nat = 14, ntyp = 4
/
ATOMIC_SPECIES
Zn 65.41 Zn.upf
Cr 52.00 Cr.upf
Se 78.96 Se.upf
S 32.06 S.upf
ATOMIC_POSITIONS angstrom
Zn 7.749 7.749 7.749
Zn 5.166 5.166 5.166
Cr 1.247 3.919 3.919
Cr 3.919 1.247 3.919
Cr 3.919 3.919 1.247
Cr 1.247 1.247 1.247
Se 3.768 6.565 6.565
Se 6.565 3.768 6.565
Se 6.565 6.565 3.768
Se 3.768 3.768 3.768
S 9.155 6.344 6.344
S 6.344 9.155 6.344
S 6.344 6.344 9.155
S 9.155 9.155 9.155
CELL_PARAMETERS angstrom
0.000 5.166 5.166
5.166 0.000 5.166
5.166 5.166 0.000
! MP2020-corrected energy ... -5.926 eV/atom

The following theoretical density values (in Mg/m³) correspond, in order, to the records above: 4.8; 4.7.
The following energy of formation from the pure elements values (in meV per atom) correspond, in order, to the records above: -222; -807.